Entry 1:
The following is a DFT calculation (PBE) of a relaxed structure of CeZnIn.

Summary:
DFT formation energy: -1.03 eV/f.u.

Cell: 4.783 4.783 7.374 Å, 90.00 90.00 120.00°
Fractional coordinates of all 6 atoms:
1 Ce 0.000 0.000 0.000
2 Ce 0.000 0.000 0.500
3 Zn 0.333 0.667 0.250
4 Zn 0.667 0.333 0.750
5 In 0.333 0.667 0.750
6 In 0.667 0.333 0.250

=====

Entry 2:
The following is a DFT calculation (PBE) of a relaxed structure of Ce5Ir4.

Summary:
DFT formation energy: -6.54 eV/f.u.
total magnetization: 2.5 μB per formula unit

Cell: 7.384 14.861 7.593 Å, 90.00 90.00 90.00°
Fractional coordinates of all 36 atoms:
1 Ce 0.011 0.093 0.179
2 Ce 0.011 0.407 0.179
3 Ce 0.159 0.121 0.666
4 Ce 0.159 0.379 0.666
5 Ce 0.179 0.750 0.521
6 Ce 0.321 0.250 0.021
7 Ce 0.341 0.621 0.166
8 Ce 0.341 0.879 0.166
9 Ce 0.489 0.593 0.679
10 Ce 0.489 0.907 0.679
11 Ce 0.511 0.093 0.321
12 Ce 0.511 0.407 0.321
13 Ce 0.659 0.121 0.834
14 Ce 0.659 0.379 0.834
15 Ce 0.679 0.750 0.979
16 Ce 0.821 0.250 0.479
17 Ce 0.841 0.621 0.334
18 Ce 0.841 0.879 0.334
19 Ce 0.989 0.593 0.821
20 Ce 0.989 0.907 0.821
21 Ir 0.040 0.750 0.121
22 Ir 0.186 0.538 0.463
23 Ir 0.186 0.962 0.463
24 Ir 0.192 0.250 0.360
25 Ir 0.308 0.750 0.860
26 Ir 0.314 0.038 0.963
27 Ir 0.314 0.462 0.963
28 Ir 0.460 0.250 0.621
29 Ir 0.540 0.750 0.379
30 Ir 0.686 0.538 0.037
31 Ir 0.686 0.962 0.037
32 Ir 0.692 0.250 0.140
33 Ir 0.808 0.750 0.640
34 Ir 0.814 0.038 0.537
35 Ir 0.814 0.462 0.537
36 Ir 0.960 0.250 0.879